Entry 1:
Below is a geometry-optimized SrCa7Ti2Mn6O21 structure, with properties calculated at the PBE+U level.

Values from the calculation:
Symmetry: No. 1
Energy above the lowest structure with this stoichiometry (eV per formula unit): 0.36
E_form (eV per atom): -2.78

a b c (Å): 7.746 7.850 7.879
angles (deg): 90.64 90.52 90.06
Sites, in units of the cell vectors:
Sr  0.000  0.000  0.000
Ca  0.022  0.486  0.494
Ca  0.513  0.010  0.521
Ca  0.515  0.463  0.486
Ca  0.530  0.455  0.975
Ca  0.542  0.003  0.017
Ca  0.990  0.039  0.472
Ca  0.996  0.464  0.958
Ti  0.268  0.749  0.753
Ti  0.274  0.745  0.223
Mn  0.259  0.234  0.727
Mn  0.263  0.268  0.235
Mn  0.753  0.256  0.734
Mn  0.756  0.772  0.260
Mn  0.758  0.741  0.748
Mn  0.759  0.264  0.243
O  0.004  0.266  0.701
O  0.005  0.705  0.779
O  0.015  0.274  0.272
O  0.069  0.839  0.271
O  0.215  0.955  0.659
O  0.224  0.266  0.982
O  0.275  0.528  0.291
O  0.284  0.526  0.674
O  0.287  0.764  0.991
O  0.302  0.227  0.475
O  0.471  0.850  0.286
O  0.507  0.256  0.190
O  0.510  0.196  0.778
O  0.514  0.800  0.734
O  0.706  0.498  0.734
O  0.721  0.229  0.499
O  0.742  0.771  0.998
O  0.743  0.520  0.270
O  0.775  0.019  0.224
O  0.784  0.814  0.516
O  0.788  0.257  0.975


Entry 2:
Below is a geometry-optimized Sr5Ca3Ti3Mn5O20 structure, with properties calculated at the PBE+U level.

Values from the calculation:
Symmetry: No. 1
E_form (eV per atom): -2.95

a b c (Å): 11.110 11.300 17.612
angles (deg): 71.32 71.83 89.91
Sites, in units of the cell vectors:
Sr  0.000  0.000  0.000
Sr  0.000  0.496  0.504
Sr  0.111  0.125  0.279
Sr  0.114  0.620  0.278
Sr  0.244  0.260  0.504
Sr  0.246  0.760  0.506
Sr  0.251  0.762  0.999
Sr  0.253  0.264  0.999
Sr  0.356  0.362  0.278
Sr  0.360  0.865  0.276
Sr  0.493  0.997  0.505
Sr  0.494  0.500  0.504
Sr  0.503  0.502  0.997
Sr  0.605  0.624  0.277
Sr  0.607  0.125  0.279
Sr  0.744  0.760  0.505
Sr  0.749  0.262  0.504
Sr  0.749  0.267  0.997
Sr  0.858  0.864  0.276
Sr  0.860  0.363  0.277
Ca  0.002  0.502  0.996
Ca  0.009  0.998  0.502
Ca  0.111  0.629  0.780
Ca  0.112  0.130  0.781
Ca  0.361  0.858  0.779
Ca  0.367  0.352  0.781
Ca  0.504  0.998  0.995
Ca  0.616  0.131  0.779
Ca  0.619  0.624  0.777
Ca  0.755  0.768  0.994
Ca  0.860  0.354  0.779
Ca  0.870  0.860  0.776
Ti  0.052  0.812  0.887
Ti  0.053  0.812  0.391
Ti  0.057  0.316  0.888
Ti  0.307  0.569  0.882
Ti  0.308  0.062  0.885
Ti  0.550  0.311  0.392
Ti  0.550  0.812  0.390
Ti  0.562  0.816  0.879
Ti  0.803  0.062  0.393
Ti  0.803  0.062  0.889
Ti  0.803  0.562  0.389
Ti  0.807  0.563  0.884
Mn  0.054  0.310  0.391
Mn  0.191  0.965  0.647
Mn  0.192  0.468  0.135
Mn  0.194  0.461  0.648
Mn  0.196  0.967  0.136
Mn  0.300  0.059  0.393
Mn  0.302  0.562  0.392
Mn  0.442  0.652  0.645
Mn  0.447  0.154  0.644
Mn  0.450  0.157  0.133
Mn  0.454  0.666  0.131
Mn  0.553  0.312  0.886
Mn  0.692  0.966  0.137
Mn  0.696  0.463  0.643
Mn  0.699  0.967  0.641
Mn  0.701  0.471  0.134
Mn  0.942  0.655  0.643
Mn  0.942  0.657  0.136
Mn  0.945  0.164  0.138
Mn  0.946  0.153  0.644
O  0.096  0.841  0.765
O  0.102  0.348  0.762
O  0.111  0.856  0.262
O  0.119  0.367  0.252
O  0.121  0.135  0.651
O  0.123  0.621  0.651
O  0.123  0.629  0.137
O  0.129  0.136  0.137
O  0.164  0.682  0.900
O  0.170  0.189  0.897
O  0.173  0.685  0.398
O  0.177  0.177  0.397
O  0.178  0.938  0.383
O  0.181  0.445  0.873
O  0.182  0.941  0.872
O  0.185  0.443  0.386
O  0.220  0.973  0.528
O  0.227  0.480  0.015
O  0.229  0.977  0.011
O  0.232  0.479  0.533
O  0.343  0.660  0.763
O  0.345  0.156  0.764
O  0.369  0.144  0.247
O  0.371  0.475  0.652
O  0.373  0.506  0.134
O  0.376  0.652  0.245
O  0.376  0.982  0.650
O  0.386  0.997  0.127
O  0.419  0.683  0.896
O  0.420  0.173  0.898
O  0.423  0.683  0.397
O  0.425  0.184  0.396
O  0.428  0.453  0.872
O  0.430  0.940  0.384
O  0.431  0.441  0.384
O  0.433  0.946  0.872
O  0.482  0.762  0.519
O  0.482  0.778  0.014
O  0.485  0.265  0.517
O  0.486  0.271  0.016
O  0.603  0.840  0.762
O  0.604  0.344  0.763
O  0.607  0.857  0.262
O  0.612  0.363  0.261
O  0.623  0.629  0.650
O  0.624  0.138  0.136
O  0.630  0.133  0.650
O  0.632  0.647  0.127
O  0.670  0.689  0.900
O  0.671  0.686  0.397
O  0.672  0.186  0.398
O  0.674  0.173  0.898
O  0.678  0.937  0.383
O  0.679  0.439  0.384
O  0.683  0.942  0.870
O  0.689  0.449  0.871
O  0.727  0.979  0.517
O  0.729  0.968  0.011
O  0.732  0.483  0.517
O  0.733  0.479  0.011
O  0.850  0.664  0.762
O  0.854  0.152  0.759
O  0.856  0.643  0.262
O  0.857  0.144  0.265
O  0.873  0.998  0.135
O  0.877  0.481  0.649
O  0.886  0.987  0.641
O  0.889  0.487  0.129
O  0.917  0.680  0.900
O  0.920  0.172  0.401
O  0.922  0.181  0.896
O  0.922  0.683  0.398
O  0.927  0.446  0.384
O  0.929  0.940  0.383
O  0.931  0.946  0.873
O  0.936  0.452  0.870
O  0.975  0.776  0.012
O  0.982  0.284  0.009
O  0.983  0.772  0.518
O  0.984  0.255  0.529


Entry 3:
Below is a geometry-optimized Sr5Ca3Ti3Mn5O24 structure, with properties calculated at the PBE+U level.

Values from the calculation:
Symmetry: No. 1
E_form (eV per atom): -2.86

a b c (Å): 7.735 7.775 7.779
angles (deg): 90.01 90.01 90.01
Sites, in units of the cell vectors:
Sr  0.000  0.000  0.000
Sr  0.000  0.000  0.497
Sr  0.000  0.497  0.497
Sr  0.492  0.000  0.000
Sr  0.492  0.000  0.497
Ca  0.002  0.497  0.000
Ca  0.490  0.497  0.000
Ca  0.491  0.497  0.497
Ti  0.745  0.251  0.750
Ti  0.745  0.746  0.248
Ti  0.745  0.747  0.749
Mn  0.246  0.250  0.749
Mn  0.246  0.747  0.248
Mn  0.246  0.747  0.749
Mn  0.247  0.250  0.248
Mn  0.745  0.250  0.248
O  0.246  0.254  0.999
O  0.246  0.743  0.999
O  0.246  0.999  0.248
O  0.246  0.999  0.749
O  0.249  0.252  0.499
O  0.249  0.498  0.751
O  0.249  0.499  0.246
O  0.249  0.745  0.498
O  0.493  0.253  0.749
O  0.493  0.744  0.749
O  0.493  0.745  0.248
O  0.497  0.254  0.249
O  0.744  0.251  0.496
O  0.744  0.495  0.247
O  0.744  0.746  0.498
O  0.745  0.498  0.750
O  0.746  0.002  0.248
O  0.746  0.253  0.002
O  0.746  0.745  0.999
O  0.746  0.999  0.749
O  0.996  0.252  0.246
O  0.999  0.251  0.751
O  0.999  0.746  0.247
O  0.999  0.746  0.751


Entry 4:
Below is a geometry-optimized SrCa7Ti2Mn6O22 structure, with properties calculated at the PBE+U level.

Values from the calculation:
Symmetry: No. 1
Energy above the lowest structure with this stoichiometry (eV per formula unit): 0.00
E_form (eV per atom): -2.78

a b c (Å): 10.889 10.923 15.774
angles (deg): 89.72 89.98 88.91
Sites, in units of the cell vectors:
Sr  0.000  0.000  0.000
Sr  0.021  0.980  0.273
Sr  0.246  0.258  0.002
Sr  0.735  0.745  0.276
Ca  0.000  0.484  0.534
Ca  0.000  0.527  0.275
Ca  0.235  0.737  0.278
Ca  0.240  0.723  0.530
Ca  0.246  0.280  0.768
Ca  0.247  0.722  0.999
Ca  0.250  0.256  0.540
Ca  0.251  0.769  0.766
Ca  0.264  0.303  0.273
Ca  0.488  0.027  0.764
Ca  0.489  0.988  0.535
Ca  0.491  0.526  0.768
Ca  0.493  0.533  0.273
Ca  0.496  0.487  0.000
Ca  0.500  0.486  0.534
Ca  0.511  0.980  0.279
Ca  0.511  0.993  0.995
Ca  0.738  0.723  0.529
Ca  0.743  0.255  0.999
Ca  0.748  0.280  0.768
Ca  0.749  0.254  0.539
Ca  0.749  0.719  0.000
Ca  0.752  0.768  0.767
Ca  0.764  0.303  0.269
Ca  0.988  0.988  0.537
Ca  0.989  0.026  0.765
Ca  0.991  0.493  0.994
Ca  0.994  0.525  0.768
Ti  0.240  0.990  0.407
Ti  0.315  0.021  0.158
Ti  0.473  0.743  0.134
Ti  0.486  0.746  0.406
Ti  0.734  0.989  0.402
Ti  0.797  0.028  0.160
Ti  0.976  0.731  0.134
Ti  0.987  0.745  0.408
Mn  0.001  0.760  0.888
Mn  0.018  0.260  0.404
Mn  0.240  0.007  0.645
Mn  0.242  0.505  0.141
Mn  0.246  0.507  0.887
Mn  0.247  0.007  0.881
Mn  0.247  0.508  0.648
Mn  0.254  0.502  0.399
Mn  0.494  0.256  0.647
Mn  0.495  0.272  0.137
Mn  0.497  0.253  0.886
Mn  0.497  0.758  0.647
Mn  0.499  0.759  0.889
Mn  0.512  0.262  0.405
Mn  0.740  0.006  0.644
Mn  0.741  0.501  0.140
Mn  0.743  0.005  0.880
Mn  0.743  0.506  0.887
Mn  0.747  0.507  0.647
Mn  0.755  0.497  0.398
Mn  0.993  0.255  0.648
Mn  0.994  0.279  0.135
Mn  0.995  0.255  0.886
Mn  0.997  0.757  0.646
O  0.021  0.748  0.257
O  0.032  0.241  0.766
O  0.035  0.750  0.764
O  0.086  0.600  0.121
O  0.098  0.113  0.623
O  0.103  0.616  0.622
O  0.104  0.615  0.416
O  0.106  0.620  0.909
O  0.110  0.118  0.901
O  0.127  0.373  0.899
O  0.132  0.865  0.412
O  0.135  0.367  0.631
O  0.137  0.864  0.615
O  0.139  0.121  0.365
O  0.149  0.868  0.914
O  0.160  0.343  0.146
O  0.165  0.359  0.410
O  0.204  0.985  0.760
O  0.210  0.507  0.767
O  0.215  0.515  0.273
O  0.225  0.047  0.065
O  0.234  0.943  0.241
O  0.274  0.035  0.514
O  0.277  0.504  0.013
O  0.286  0.506  0.523
O  0.322  0.675  0.148
O  0.343  0.150  0.664
O  0.351  0.650  0.382
O  0.351  0.651  0.662
O  0.353  0.150  0.872
O  0.358  0.655  0.874
O  0.388  0.401  0.666
O  0.390  0.398  0.872
O  0.390  0.916  0.384
O  0.392  0.905  0.658
O  0.393  0.153  0.211
O  0.394  0.421  0.166
O  0.399  0.908  0.876
O  0.400  0.397  0.367
O  0.453  0.764  0.518
O  0.457  0.930  0.137
O  0.460  0.769  0.016
O  0.463  0.262  0.525
O  0.476  0.251  0.012
O  0.507  0.759  0.261
O  0.535  0.243  0.767
O  0.536  0.750  0.770
O  0.587  0.616  0.122
O  0.601  0.112  0.622
O  0.601  0.614  0.411
O  0.604  0.616  0.913
O  0.604  0.617  0.623
O  0.605  0.112  0.901
O  0.610  0.111  0.376
O  0.633  0.365  0.903
O  0.634  0.861  0.415
O  0.637  0.368  0.632
O  0.640  0.867  0.614
O  0.647  0.865  0.918
O  0.663  0.341  0.137
O  0.667  0.352  0.407
O  0.704  0.985  0.759
O  0.706  0.507  0.768
O  0.707  0.509  0.265
O  0.713  0.975  0.252
O  0.718  0.057  0.062
O  0.775  0.500  0.015
O  0.778  0.036  0.508
O  0.784  0.505  0.524
O  0.828  0.662  0.145
O  0.846  0.153  0.663
O  0.848  0.146  0.877
O  0.853  0.646  0.877
O  0.854  0.654  0.662
O  0.858  0.642  0.381
O  0.883  0.903  0.378
O  0.884  0.398  0.869
O  0.890  0.401  0.666
O  0.891  0.418  0.170
O  0.893  0.154  0.202
O  0.893  0.903  0.873
O  0.893  0.906  0.657
O  0.901  0.388  0.363
O  0.919  0.914  0.142
O  0.952  0.765  0.519
O  0.964  0.261  0.524
O  0.968  0.257  0.011
O  0.969  0.765  0.018


Entry 5:
Below is a geometry-optimized SrCa7Ti2Mn6O22 structure, with properties calculated at the PBE+U level.

Values from the calculation:
Symmetry: No. 1
Energy above the lowest structure with this stoichiometry (eV per formula unit): 0.81
E_form (eV per atom): -2.76

a b c (Å): 7.671 7.705 7.768
angles (deg): 90.49 90.06 90.02
Sites, in units of the cell vectors:
Sr  0.000  0.000  0.000
Ca  0.003  0.491  0.995
Ca  0.502  0.008  0.999
Ca  0.511  0.492  0.999
Ca  0.515  0.014  0.500
Ca  0.541  0.495  0.498
Ca  0.986  0.001  0.502
Ca  0.987  0.495  0.498
Ti  0.231  0.744  0.256
Ti  0.256  0.739  0.739
Mn  0.231  0.250  0.741
Mn  0.245  0.253  0.254
Mn  0.729  0.251  0.249
Mn  0.735  0.748  0.749
Mn  0.740  0.747  0.248
Mn  0.742  0.250  0.749
O  0.173  0.241  0.486
O  0.174  0.754  0.504
O  0.182  0.501  0.741
O  0.184  0.494  0.251
O  0.233  0.739  0.988
O  0.244  0.258  0.005
O  0.252  0.001  0.245
O  0.254  0.994  0.746
O  0.480  0.703  0.707
O  0.480  0.714  0.277
O  0.485  0.282  0.715
O  0.486  0.287  0.285
O  0.700  0.749  0.996
O  0.709  0.997  0.747
O  0.712  0.249  0.001
O  0.713  0.003  0.250
O  0.773  0.246  0.494
O  0.774  0.750  0.502
O  0.782  0.492  0.244
O  0.784  0.502  0.754
O  0.980  0.776  0.219
O  0.984  0.213  0.774


Short version: magnetic moment = 24.0; 22.9; 15.4; 22.0; 22.0 μB/f.u., in the order given.
Short version: calculated volume = 12.948; 13.738; 11.697; 12.341; 12.084 A^3/atom, in the order given.